Here is SrNbFeSnO6 after structural relaxation from the Materials Project. Energies are from PBE+U.

Values from the calculation:
**Energy of formation from the pure elements**: -2.449 eV/atom
**DFT total energy**: -7.2073 eV/atom
**Theoretical density**: 5.7 Mg/m³

Cell and atoms, written as POSCAR:
```
SrNbFeSnO6
1.0
0.0000 4.0263 4.0263
4.0263 0.0000 4.0263
4.0263 4.0263 0.0000
Sr Nb Fe Sn O
1 1 1 1 6
direct
0.0000 0.0000 0.0000 Sr
0.2500 0.2500 0.2500 Nb
0.7500 0.7500 0.7500 Fe
0.5000 0.5000 0.5000 Sn
0.0007 0.0007 0.4993 O
0.0007 0.4993 0.0007 O
0.0007 0.4993 0.4993 O
0.4993 0.0007 0.0007 O
0.4993 0.0007 0.4993 O
0.4993 0.4993 0.0007 O
```